Computed, not measured: a relaxed structure of Na2Al2B2O7 at the PBE level of DFT.

```
data_Na2Al2B2O7
_cell_length_a 4.8726
_cell_length_b 4.8726
_cell_length_c 15.5945
_cell_angle_alpha 90.00
_cell_angle_beta 90.00
_cell_angle_gamma 120.00
_space_group_name_H-M_alt 'P 1'
_space_group_IT_number 1
loop_
_space_group_symop_operation_xyz
'x,y,z'
loop_
_atom_site_label
_atom_site_fract_x
_atom_site_fract_y
_atom_site_fract_z
_atom_site_occupancy
Na1 0.0000 0.0000 0.2500 1
Na2 0.0000 0.0000 0.5000 1
Na3 0.0000 0.0000 0.0000 1
Na4 0.0000 0.0000 0.7500 1
Al1 0.3333 0.6667 0.6388 1
Al2 0.6667 0.3333 0.1388 1
Al3 0.3333 0.6667 0.8612 1
Al4 0.6667 0.3333 0.3612 1
B1 0.6667 0.3333 0.8959 1
B2 0.3333 0.6667 0.3959 1
B3 0.3333 0.6667 0.1041 1
B4 0.6667 0.3333 0.6041 1
O1 0.9607 0.6056 0.8959 1
O2 0.3944 0.0393 0.6041 1
O3 0.9607 0.3551 0.6041 1
O4 0.3551 0.3944 0.3959 1
O5 0.0393 0.6449 0.3959 1
O6 0.6449 0.0393 0.8959 1
O7 0.6056 0.6449 0.1041 1
O8 0.0393 0.3944 0.1041 1
O9 0.3551 0.9607 0.1041 1
O10 0.6449 0.6056 0.6041 1
O11 0.3944 0.3551 0.8959 1
O12 0.6056 0.9607 0.3959 1
O13 0.6667 0.3333 0.2500 1
O14 0.3333 0.6667 0.7500 1
```

Calculated values
For the formation energy, the calculation gives -2.95 eV per atom. As for the total energy: -0.2591 hartree per atom. As for the total magnetic moment: 0.000 μB per cell. The value obtained for the density is 2.42 g/cm3. The crystal system is trigonal.